Entry 1:
DFT (r2SCAN) results for a geometry-optimized Ni2W4C structure.

Cell and atoms, written as extended XYZ:
```
28
Lattice="0.0000 5.6294 5.6294 5.6294 0.0000 5.6294 5.6294 5.6294 0.0000" Properties=species:S:1:pos:R:3 pbc="T T T"
Ni 8.9147 5.1589 5.1589
Ni 2.3442 2.3442 2.3442
Ni 6.1000 6.1000 2.3442
Ni 6.1000 2.3442 6.1000
Ni 5.1589 8.9147 5.1589
Ni 5.1589 5.1589 8.9147
Ni 8.9147 8.9147 8.9147
Ni 2.3442 6.1000 6.1000
W 0.0000 0.0000 0.0000
W 2.8147 2.8147 0.0000
W 2.8147 0.0000 2.8147
W 4.2221 4.2221 2.0694
W 4.2221 2.0694 4.2221
W 6.3747 4.2221 4.2221
W 7.0368 7.0368 4.8841
W 7.0368 4.8841 7.0368
W 9.1894 7.0368 7.0368
W 0.0000 2.8147 2.8147
W 2.0694 4.2221 4.2221
W 4.2221 6.3747 4.2221
W 4.2221 4.2221 6.3747
W 4.8841 7.0368 7.0368
W 7.0368 9.1894 7.0368
W 7.0368 7.0368 9.1894
C 5.6294 2.8147 2.8147
C 2.8147 5.6294 2.8147
C 2.8147 2.8147 5.6294
C 5.6294 5.6294 5.6294
```

Results
space-group type = No. 227
crystal system = cubic


Entry 2:
DFT (r2SCAN) results for a geometry-optimized YNiC2 structure.

Cell and atoms, written as extended XYZ:
```
4
Lattice="3.6105 0.0000 0.0000 0.0000 2.2428 2.9912 0.0000 -2.2428 2.9912" Properties=species:S:1:pos:R:3 pbc="T T T"
Y 0.0000 0.0000 0.0000
Ni 1.8053 0.0000 3.6511
C 1.8053 -0.6846 1.7952
C 1.8053 0.6846 1.7952
```

Results
space-group type = No. 38
crystal system = orthorhombic


Entry 3:
DFT (r2SCAN) results for a geometry-optimized Yb4Ni2C5 structure.

Cell and atoms, written as extended XYZ:
```
11
Lattice="3.5243 0.0000 0.0000 0.0000 11.3644 0.0000 0.0000 0.0000 3.6332" Properties=species:S:1:pos:R:3 pbc="T T T"
Yb 0.0000 0.0000 0.0000
Yb 0.0000 3.3756 2.5856
Yb 0.0000 7.9888 2.5856
Yb 1.7621 5.6822 0.7751
Ni 1.7621 1.3160 1.8571
Ni 1.7621 10.0484 1.8571
C 0.0000 5.6822 2.6237
C 1.7621 1.8995 0.0439
C 1.7621 3.0896 0.7753
C 1.7621 8.2748 0.7753
C 1.7621 9.4649 0.0439
```

Results
space-group type = No. 25
crystal system = orthorhombic


Entry 4:
DFT (r2SCAN) results for a geometry-optimized PrCO4 structure.

Cell and atoms, written as extended XYZ:
```
24
Lattice="7.4405 0.0000 0.0000 0.0000 5.0066 0.0000 0.0000 0.0000 8.1791" Properties=species:S:1:pos:R:3 pbc="T T T"
Pr 1.0475 1.2517 1.3986
Pr 2.6727 3.7550 5.4881
Pr 4.7677 1.2517 2.6909
Pr 6.3930 3.7550 6.7805
C 1.4540 1.2517 6.6513
C 2.2662 3.7550 2.5617
C 5.1743 1.2517 5.6173
C 5.9864 3.7550 1.5278
O 0.3336 3.7550 4.7826
O 1.0973 0.1339 7.1939
O 1.0973 2.3694 7.1939
O 1.5023 3.7550 1.5400
O 2.2179 1.2517 5.6295
O 2.6229 2.6372 3.1043
O 2.6229 4.8727 3.1043
O 3.3866 1.2517 0.6931
O 4.0538 3.7550 7.4860
O 4.8175 0.1339 5.0747
O 4.8175 2.3694 5.0747
O 5.2226 3.7550 2.5495
O 5.9381 1.2517 6.6391
O 6.3432 2.6372 0.9852
O 6.3432 4.8727 0.9852
O 7.1069 1.2517 3.3965
```

Results
space-group type = No. 62
crystal system = orthorhombic


Entry 5:
DFT (r2SCAN) results for a geometry-optimized Rb2CO3 structure.

Cell and atoms, written as extended XYZ:
```
24
Lattice="7.3985 0.0000 0.0000 0.0000 5.9691 0.0000 0.0000 0.0000 9.9805" Properties=species:S:1:pos:R:3 pbc="T T T"
Rb 0.2770 1.4923 2.2877
Rb 1.4083 1.4923 5.8000
Rb 2.2909 4.4768 0.8097
Rb 3.4222 4.4768 7.2779
Rb 3.9763 1.4923 2.7026
Rb 5.1076 1.4923 9.1708
Rb 5.9902 4.4768 4.1805
Rb 7.1215 4.4768 7.6929
C 1.8293 4.4768 4.1542
C 1.8699 1.4923 9.1444
C 5.5286 4.4768 0.8361
C 5.5692 1.4923 5.8263
O 1.3046 4.4768 5.3446
O 1.6184 0.3682 8.5497
O 1.6184 2.6164 8.5497
O 2.0809 3.3527 3.5595
O 2.0809 5.6010 3.5595
O 2.3947 1.4923 0.3543
O 5.0038 4.4768 9.6262
O 5.3176 0.3682 6.4210
O 5.3176 2.6164 6.4210
O 5.7801 3.3527 1.4308
O 5.7801 5.6010 1.4308
O 6.0939 1.4923 4.6359
```

Results
space-group type = No. 62
crystal system = orthorhombic


Entry 6:
DFT (r2SCAN) results for a geometry-optimized RbCO2 structure.

Cell and atoms, written as extended XYZ:
```
32
Lattice="6.2753 0.0000 0.0000 0.0000 10.3925 0.0000 -1.2220 0.0000 8.1491" Properties=species:S:1:pos:R:3 pbc="T T T"
Rb 1.3217 2.1044 0.1659
Rb 0.7107 3.0919 4.2404
Rb 1.4880 6.0840 1.3270
Rb 0.8770 9.5049 5.4015
Rb 4.1763 0.8877 2.7475
Rb 3.5654 4.3086 6.8221
Rb 4.3427 7.3007 3.9087
Rb 3.7317 8.2881 7.9832
C 0.2263 5.7722 6.3104
C 0.8372 9.8166 2.2359
C 1.2819 6.3199 5.3567
C 1.8929 9.2689 1.2822
C 3.1604 1.1236 6.8669
C 3.7714 4.0727 2.7923
C 4.2161 0.5759 5.9131
C 4.8271 4.6203 1.8386
O -0.7516 6.5310 6.5696
O -0.1406 9.0578 2.4951
O 1.0314 0.5789 2.7256
O 0.4204 4.6174 6.8001
O 1.0647 6.2322 4.1161
O 1.6757 9.3566 0.0416
O 2.1525 1.6549 6.3123
O 2.7635 3.5414 2.2378
O 2.2898 6.8512 5.9113
O 2.9008 8.7376 1.8367
O 3.3776 1.0359 8.1075
O 3.9886 4.1603 4.0329
O 4.6329 5.7751 1.3490
O 4.0219 9.8137 5.4235
O 5.1939 1.3348 5.6540
O 5.8049 3.8615 1.5794
```

Results
space-group type = No. 14
crystal system = monoclinic


For each record above, in turn, the calculated energy relative to the elements values are -5.4, -42.2, -53.6, -210.3, -180.1, -158.6 kJ/mol of atoms.
For each record above, in turn, the calculated size of the total moment values are 0.00, 0.00, 0.00, 4.00, 0.00, 0.00 μB per cell.
For each record above, in turn, the calculated calculated total energy values are -34.254, -13.485, -20.539, -12.720, -11.154, -10.599 eV/atom.